1.
VASP calculation (r2SCAN) on a relaxed structure of Ba5Li2Te3O15.

Unit cell a=10.1317 b=10.1317 c=10.1317 alpha=99.35 beta=99.35 gamma=132.46
With the nearest neighbours (Å) after each atom.
Positions (direct):
1 Ba 0.7500 0.2500 0.5000  12 O 2.88-2.98
2 Ba 0.5401 0.6404 0.6900  12 O 2.84-3.02
3 Ba 0.9504 0.8501 0.3100  12 O 2.84-3.02
4 Ba 0.1499 0.4599 0.1003  12 O 2.84-3.02
5 Ba 0.3596 0.0496 0.8997  12 O 2.84-3.02
6 Ba 0.8501 0.5401 0.8997  12 O 2.84-3.02
7 Ba 0.6404 0.9504 0.1003  12 O 2.84-3.02
8 Ba 0.0496 0.1499 0.6900  12 O 2.84-3.02
9 Ba 0.2500 0.7500 0.5000  12 O 2.88-2.98
10 Ba 0.4599 0.3596 0.3100  12 O 2.84-3.02
11 Li 0.4073 0.1954 0.6027  5 O 2.09-2.29
12 Li 0.8046 0.4073 0.2119  5 O 2.09-2.29
13 Li 0.1954 0.5927 0.7881  5 O 2.09-2.29
14 Li 0.5927 0.8046 0.3973  5 O 2.09-2.29
15 Te 0.3054 0.9023 0.2077  5 O 1.89-1.91
16 Te 0.0977 0.3054 0.4031  5 O 1.89-1.91
17 Te 0.5000 0.5000 0.0000  6 O 1.89-2.11
18 Te 0.6946 0.0977 0.7923  5 O 1.89-1.91
19 Te 0.9023 0.6946 0.5969  5 O 1.89-1.91
20 Te 0.0000 0.0000 0.0000  6 O 1.91-1.98
21 O 0.5262 0.1374 0.1994  1 Te 1.90
22 O 0.3268 0.5262 0.3887  1 Te 1.90
23 O 0.7579 0.7579 0.0000  2 Te 1.98-2.11
24 O 0.9380 0.3268 0.8006  1 Te 1.90
25 O 0.1374 0.9380 0.6113  1 Te 1.90
26 O 0.2496 0.7681 0.0176  1 Te 1.91
27 O 0.0432 0.1394 0.1826  1 Te 1.91
28 O 0.4545 0.3634 0.8179  1 Te 1.89
29 O 0.6594 0.9569 0.6163  1 Te 1.90
30 O 0.8565 0.5576 0.4142  1 Te 1.89, 1 Li 2.09
31 O 0.1394 0.9568 0.0962  1 Te 1.91
32 O 0.9569 0.3406 0.2975  1 Te 1.90
33 O 0.3634 0.5455 0.9089  1 Te 1.89
34 O 0.5576 0.1435 0.7011  1 Te 1.89, 1 Li 2.09
35 O 0.7681 0.7504 0.5185  1 Te 1.91
36 O 0.0620 0.6732 0.1994  1 Te 1.90
37 O 0.8626 0.0620 0.3887  1 Te 1.90
38 O 0.2421 0.2421 0.0000  2 Te 1.98-2.11
39 O 0.4738 0.8626 0.8006  1 Te 1.90
40 O 0.6732 0.4738 0.6113  1 Te 1.90
41 O 0.3406 0.0431 0.3837  1 Te 1.90
42 O 0.1435 0.4424 0.5858  1 Te 1.89, 1 Li 2.09
43 O 0.5455 0.6366 0.1821  1 Te 1.89
44 O 0.7504 0.2319 0.9824  1 Te 1.91
45 O 0.9568 0.8606 0.8174  1 Te 1.91
46 O 0.4424 0.8565 0.2989  1 Te 1.89, 1 Li 2.09
47 O 0.2319 0.2496 0.4815  1 Te 1.91
48 O 0.6366 0.4545 0.0911  1 Te 1.89
49 O 0.8606 0.0432 0.9038  1 Te 1.91
50 O 0.0431 0.6594 0.7025  1 Te 1.90

Properties
The crystal system is tetragonal. The energy of formation comes out at -5432 kJ/mol of formula units. The space group is I4/m.


2.
VASP calculation (r2SCAN) on a relaxed structure of Ba3Li4Sb4.

Unit cell a=5.0343 b=7.7082 c=9.4911 alpha=113.96 beta=105.38 gamma=90.00
With the nearest neighbours (Å) after each atom.
Positions (direct):
1 Ba 0.1323 0.6323 0.2645  6 Li 3.52, 6 Sb 3.60-3.63
2 Ba 0.8677 0.3677 0.7355  6 Li 3.52, 6 Sb 3.60-3.63
3 Ba 0.0000 0.0000 0.0000  6 Sb 3.50-3.54
4 Li 0.6757 0.9818 0.3514  1 Li 2.99, 4 Sb 2.99-3.06
5 Li 0.3243 0.0182 0.6486  1 Li 2.99, 4 Sb 2.99-3.06
6 Li 0.3243 0.6304 0.6486  1 Li 2.99, 4 Sb 2.99-3.06
7 Li 0.6757 0.3696 0.3514  1 Li 2.99, 4 Sb 2.99-3.06
8 Sb 0.7869 0.7869 0.5738  6 Li 2.99-3.00
9 Sb 0.2131 0.2131 0.4262  6 Li 2.99-3.00
10 Sb 0.5000 0.6845 0.0000  1 Sb 2.84, 2 Li 3.06
11 Sb 0.5000 0.3155 0.0000  1 Sb 2.84, 2 Li 3.06

Properties
The crystal system is orthorhombic. The energy of formation comes out at -1097 kJ/mol of formula units. The space group is Immm.


3.
VASP calculation (r2SCAN) on a relaxed structure of Ba2LiSi3.

Unit cell a=12.4126 b=10.7432 c=8.7675 alpha=78.30 beta=57.94 gamma=43.76
With the nearest neighbours (Å) after each atom.
Positions (direct):
1 Ba 0.8757 0.8757 0.1243  8 Si 3.51-3.61, 4 Li 3.53
2 Ba 0.1243 0.1243 0.8757  8 Si 3.51-3.61, 4 Li 3.53
3 Ba 0.3743 0.3743 0.1257  8 Si 3.51-3.61, 4 Li 3.53
4 Ba 0.1257 0.1257 0.3743  8 Si 3.51-3.61, 4 Li 3.53
5 Ba 0.6255 0.6255 0.3745  10 Si 3.38-3.62, 2 Li 3.51
6 Ba 0.3745 0.3745 0.6255  10 Si 3.38-3.62, 2 Li 3.51
7 Ba 0.6245 0.6245 0.8755  10 Si 3.38-3.62, 2 Li 3.51
8 Ba 0.8755 0.8755 0.6245  10 Si 3.38-3.62, 2 Li 3.51
9 Li 0.1677 0.8323 0.1677  3 Si 2.66-2.68
10 Li 0.8323 0.1677 0.8323  3 Si 2.66-2.68
11 Li 0.0823 0.4177 0.0823  3 Si 2.66-2.68
12 Li 0.4177 0.0823 0.4177  3 Si 2.66-2.68
13 Si 0.6541 0.3386 0.1889  2 Si 2.39, 1 Li 2.68
14 Si 0.8184 0.1889 0.3386  2 Si 2.39, 1 Li 2.68
15 Si 0.1889 0.8184 0.6541  2 Si 2.39, 1 Li 2.68
16 Si 0.3386 0.6541 0.8184  2 Si 2.39, 1 Li 2.68
17 Si 0.5926 0.9074 0.5926  2 Si 2.39, 1 Li 2.66
18 Si 0.9074 0.5926 0.9074  2 Si 2.39, 1 Li 2.66
19 Si 0.6574 0.3426 0.6574  2 Si 2.39, 1 Li 2.66
20 Si 0.3426 0.6574 0.3426  2 Si 2.39, 1 Li 2.66
21 Si 0.9114 0.5959 0.4316  2 Si 2.39, 1 Li 2.68
22 Si 0.0611 0.4316 0.5959  2 Si 2.39, 1 Li 2.68
23 Si 0.4316 0.0611 0.9114  2 Si 2.39, 1 Li 2.68
24 Si 0.5959 0.9114 0.0611  2 Si 2.39, 1 Li 2.68

Properties
The crystal system is orthorhombic. The energy of formation comes out at -278 kJ/mol of formula units. The space group is Fddd.


4.
VASP calculation (r2SCAN) on a relaxed structure of Ba3Li4Sn8.

Unit cell a=6.7343 b=6.8833 c=9.9491 alpha=97.80 beta=109.78 gamma=90.00
With the nearest neighbours (Å) after each atom.
Positions (direct):
1 Ba 0.6767 0.3122 0.3535  10 Sn 3.60-3.89, 3 Li 3.69-3.92
2 Ba 0.0000 0.0000 0.0000  10 Sn 3.66-3.75, 6 Li 3.74-3.96
3 Ba 0.3233 0.6878 0.6465  10 Sn 3.60-3.89, 3 Li 3.69-3.92
4 Li 0.2130 0.1303 0.4260  5 Sn 2.92-2.99
5 Li 0.7870 0.8697 0.5740  5 Sn 2.92-2.99
6 Li 0.2190 0.5000 0.0000  4 Sn 2.79-2.87, 1 Li 2.95
7 Li 0.7810 0.5000 0.0000  4 Sn 2.79-2.87, 1 Li 2.95
8 Sn 0.5842 0.1973 0.7000  3 Sn 2.95-3.15, 3 Li 2.99-3.26
9 Sn 0.4158 0.8027 0.3000  3 Sn 2.95-3.15, 3 Li 2.99-3.26
10 Sn 0.1158 0.1973 0.7000  3 Sn 2.95-3.15, 3 Li 2.99-3.26
11 Sn 0.8717 0.5446 0.7435  3 Li 2.87-2.92, 2 Sn 2.97
12 Sn 0.1283 0.4554 0.2565  3 Li 2.87-2.92, 2 Sn 2.97
13 Sn 0.5169 0.8003 0.0337  2 Li 2.79, 3 Sn 2.91-2.95
14 Sn 0.4831 0.1997 0.9663  2 Li 2.79, 3 Sn 2.91-2.95
15 Sn 0.8842 0.8027 0.3000  3 Sn 2.95-3.15, 3 Li 2.99-3.26

Properties
The crystal system is monoclinic. The energy of formation comes out at -830 kJ/mol of formula units. The space group is C2/m.


5.
VASP calculation (r2SCAN) on a relaxed structure of BaLu2O4.

Unit cell a=3.3635 b=10.2764 c=11.8622 alpha=90.00 beta=90.00 gamma=90.00
With the nearest neighbours (Å) after each atom.
Positions (direct):
1 Ba 0.7500 0.2468 0.3498  8 O 2.70-2.92
2 Ba 0.2500 0.2532 0.8498  8 O 2.70-2.92
3 Ba 0.7500 0.7468 0.1502  8 O 2.70-2.92
4 Ba 0.2500 0.7532 0.6502  8 O 2.70-2.92
5 Lu 0.7500 0.0774 0.6075  6 O 2.21-2.26
6 Lu 0.7500 0.0722 0.1100  6 O 2.18-2.25
7 Lu 0.2500 0.4278 0.6100  6 O 2.18-2.25
8 Lu 0.2500 0.4226 0.1075  6 O 2.21-2.26
9 Lu 0.7500 0.5774 0.8925  6 O 2.21-2.26
10 Lu 0.7500 0.5722 0.3900  6 O 2.18-2.25
11 Lu 0.2500 0.9278 0.8900  6 O 2.18-2.25
12 Lu 0.2500 0.9226 0.3925  6 O 2.21-2.26
13 O 0.2500 0.0189 0.7173  3 Lu 2.21-2.25
14 O 0.7500 0.0677 0.9266  3 Lu 2.18-2.25
15 O 0.2500 0.1116 0.4834  3 Lu 2.22-2.26
16 O 0.2500 0.2095 0.1516  3 Lu 2.25
17 O 0.7500 0.2905 0.6516  3 Lu 2.25
18 O 0.7500 0.3884 0.9834  3 Lu 2.22-2.26
19 O 0.2500 0.4323 0.4266  3 Lu 2.18-2.25
20 O 0.7500 0.4811 0.2173  3 Lu 2.21-2.25
21 O 0.2500 0.5189 0.7827  3 Lu 2.21-2.25
22 O 0.7500 0.5677 0.5734  3 Lu 2.18-2.25
23 O 0.2500 0.6116 0.0166  3 Lu 2.22-2.26
24 O 0.2500 0.7095 0.3484  3 Lu 2.25
25 O 0.7500 0.7905 0.8484  3 Lu 2.25
26 O 0.7500 0.8884 0.5166  3 Lu 2.22-2.26
27 O 0.2500 0.9323 0.0734  3 Lu 2.18-2.25
28 O 0.7500 0.9811 0.2827  3 Lu 2.21-2.25

Properties
The crystal system is orthorhombic. The energy of formation comes out at -2490 kJ/mol of formula units. The space group is Pnma.


6.
VASP calculation (r2SCAN) on a relaxed structure of Ba2LuUO6.

Unit cell a=6.1148 b=6.1148 c=6.1148 alpha=60.00 beta=60.00 gamma=60.00
With the nearest neighbours (Å) after each atom.
Positions (direct):
1 Ba 0.7500 0.7500 0.7500  12 O 3.06
2 Ba 0.2500 0.2500 0.2500  12 O 3.06
3 Lu 0.5000 0.5000 0.5000  6 O 2.18
4 U 0.0000 0.0000 0.0000  6 O 2.14
5 O 0.7521 0.7521 0.2479  1 U 2.14, 1 Lu 2.18
6 O 0.2479 0.2479 0.7521  1 U 2.14, 1 Lu 2.18
7 O 0.7521 0.2479 0.7521  1 U 2.14, 1 Lu 2.18
8 O 0.2479 0.7521 0.2479  1 U 2.14, 1 Lu 2.18
9 O 0.2479 0.7521 0.7521  1 U 2.14, 1 Lu 2.18
10 O 0.7521 0.2479 0.2479  1 U 2.14, 1 Lu 2.18

Properties
The crystal system is cubic. The energy of formation comes out at -3497 kJ/mol of formula units. The space group is Fm-3m.